# CsMn2P6O18, optimized geometry, DFT GGA+U
data_CsMn2P6O18
_chemical_formula_sum 'Cs2 Mn4 P12 O36'
_symmetry_space_group_name_H-M 'P 1'
_symmetry_Int_Tables_number 1
_symmetry_space_group_name_Hall 'P 1'
_cell_length_a 9.2938
_cell_length_b 9.3308
_cell_length_c 10.5880
_cell_angle_alpha 71.41
_cell_angle_beta 73.20
_cell_angle_gamma 88.42
loop_
_atom_site_label
_atom_site_fract_x
_atom_site_fract_y
_atom_site_fract_z
Cs1 0.0000 0.0000 0.0000
Cs2 0.0006 0.0002 0.4993
Mn1 0.0105 0.5073 0.4930
Mn2 0.0104 0.5073 0.9930
Mn3 0.5096 0.0075 0.4935
Mn4 0.5095 0.0074 0.9933
P1 0.2191 0.4603 0.6932
P2 0.2198 0.4592 0.1919
P3 0.2610 0.7487 0.7466
P4 0.2617 0.7474 0.2446
P5 0.4612 0.2346 0.1922
P6 0.4609 0.2353 0.6933
P7 0.5601 0.7793 0.2934
P8 0.5597 0.7799 0.7946
P9 0.7592 0.2677 0.7420
P10 0.7598 0.2665 0.2400
P11 0.8013 0.5544 0.2938
P12 0.8005 0.5556 0.7949
O1 0.1020 0.4003 0.8326
O2 0.1046 0.3988 0.3323
O3 0.1155 0.7084 0.3645
O4 0.1149 0.7097 0.8664
O5 0.1815 0.4471 0.0653
O6 0.1823 0.4491 0.5657
O7 0.2705 0.6350 0.6584
O8 0.2705 0.6343 0.1561
O9 0.2831 0.9053 0.1441
O10 0.2828 0.9064 0.6455
O11 0.3746 0.3880 0.6955
O12 0.3765 0.3886 0.1915
O13 0.3942 0.7071 0.8153
O14 0.3954 0.7054 0.3126
O15 0.4026 0.1155 0.3323
O16 0.4026 0.1145 0.8325
O17 0.4663 0.2007 0.0626
O18 0.4673 0.2029 0.5628
O19 0.5553 0.8128 0.4231
O20 0.5563 0.8145 0.9235
O21 0.6191 0.8982 0.6538
O22 0.6192 0.8990 0.1535
O23 0.6250 0.3107 0.6749
O24 0.6259 0.3091 0.1723
O25 0.6430 0.6249 0.7959
O26 0.6450 0.6255 0.2924
O27 0.7381 0.1084 0.3405
O28 0.7377 0.1095 0.8420
O29 0.7515 0.3802 0.8310
O30 0.7515 0.3795 0.3287
O31 0.8387 0.5665 0.4207
O32 0.8391 0.5687 0.9211
O33 0.9055 0.3055 0.1198
O34 0.9051 0.3067 0.6217
O35 0.9150 0.6170 0.6540
O36 0.9175 0.6155 0.1538
# * spin magnetization: 0.0 μB/f.u.
# * polymorph energy (0 for the lowest one): 0.000 eV/atom
# * DFT formation energy: -69.92 eV per formula unit
# * uncorrected energy: -7.221 eV per atom
# * energy with MP2020 corrections: -7.803 eV per atom

=====

# LaZnCrSnO6, optimized geometry, DFT GGA+U
data_LaZnCrSnO6
_chemical_formula_sum 'La2 Zn2 Cr2 Sn2 O12'
_symmetry_space_group_name_H-M 'P 1 c 1'
_symmetry_Int_Tables_number 7
_symmetry_space_group_name_Hall 'P -2yc'
_cell_length_a 5.4573
_cell_length_b 5.6007
_cell_length_c 9.6080
_cell_angle_alpha 90.00
_cell_angle_beta 124.37
_cell_angle_gamma 90.00
loop_
_atom_site_label
_atom_site_fract_x
_atom_site_fract_y
_atom_site_fract_z
La1 0.0000 0.2130 0.0000
Zn1 0.4787 0.2808 0.5008
Cr1 0.2396 0.2538 0.7505
Sn1 0.7395 0.2551 0.2513
O1 0.0083 0.4568 0.8059
O2 0.1181 0.0575 0.3139
O3 0.3861 0.4681 0.1917
O4 0.4857 0.0608 0.6869
O5 0.5750 0.3040 0.9958
O6 0.8566 0.2205 0.5029
# * spin magnetization: 3.0 μB/f.u.
# * DFT formation energy: -24.70 eV per formula unit
# * uncorrected energy: -6.812 eV per atom
# * energy with MP2020 corrections: -7.425 eV per atom

=====

# Li4V3P8O29, optimized geometry, DFT GGA+U
data_Li4V3P8O29
_chemical_formula_sum 'Li8 V6 P16 O58'
_symmetry_space_group_name_H-M 'P 1'
_symmetry_Int_Tables_number 1
_symmetry_space_group_name_Hall 'P 1'
_cell_length_a 9.7786
_cell_length_b 9.7981
_cell_length_c 14.2168
_cell_angle_alpha 89.99
_cell_angle_beta 89.41
_cell_angle_gamma 60.10
loop_
_atom_site_label
_atom_site_fract_x
_atom_site_fract_y
_atom_site_fract_z
Li1 0.0000 0.0000 0.0000
Li2 0.0029 0.5801 0.4942
Li3 0.2782 0.6061 0.0639
Li4 0.3248 0.3532 0.6141
Li5 0.5510 0.4488 0.4943
Li6 0.5630 0.5718 0.9962
Li7 0.9046 0.7601 0.1170
Li8 0.9277 0.8975 0.6143
V1 0.2272 0.2334 0.8119
V2 0.2341 0.1032 0.3027
V3 0.6623 0.6744 0.8023
V4 0.6632 0.2335 0.3016
V5 0.7967 0.6697 0.3058
V6 0.8011 0.1054 0.8043
P1 0.0049 0.5804 0.7168
P2 0.0072 0.9835 0.2174
P3 0.1501 0.4474 0.2151
P4 0.1523 0.9830 0.7081
P5 0.3129 0.8925 0.8942
P6 0.3180 0.3532 0.3975
P7 0.4549 0.3602 0.8922
P8 0.4554 0.7600 0.3908
P9 0.5461 0.5812 0.2113
P10 0.5542 0.4380 0.7123
P11 0.5663 0.0061 0.6872
P12 0.5677 0.0027 0.1840
P13 0.8934 0.3405 0.9249
P14 0.8985 0.3357 0.4229
P15 0.9112 0.9020 0.3986
P16 0.9145 0.7595 0.8980
O1 0.0063 0.8985 0.1295
O2 0.0248 0.6682 0.8071
O3 0.0256 0.8801 0.3088
O4 0.0415 0.3447 0.8786
O5 0.0483 0.1950 0.3724
O6 0.1432 0.1432 0.7361
O7 0.1471 0.0141 0.2194
O8 0.1504 0.4132 0.7167
O9 0.1573 0.2868 0.2245
O10 0.2238 0.8854 0.9775
O11 0.2261 0.4678 0.3121
O12 0.2312 0.4697 0.1332
O13 0.2327 0.4276 0.4883
O14 0.2382 0.9112 0.6205
O15 0.2394 0.8725 0.7991
O16 0.3136 0.0521 0.8846
O17 0.3154 0.9311 0.3865
O18 0.3171 0.3245 0.8871
O19 0.3258 0.1948 0.3776
O20 0.4165 0.1524 0.7300
O21 0.4209 0.0024 0.2304
O22 0.4301 0.6830 0.2959
O23 0.4342 0.4567 0.7951
O24 0.4354 0.4690 0.9712
O25 0.4623 0.6665 0.4738
O26 0.4633 0.6389 0.1197
O27 0.4834 0.4282 0.6214
O28 0.4865 0.3310 0.3962
O29 0.4872 0.7546 0.8933
O30 0.5638 0.1537 0.2318
O31 0.5645 0.0152 0.0802
O32 0.5673 0.0004 0.5830
O33 0.5701 0.8542 0.7340
O34 0.5744 0.4114 0.2294
O35 0.5748 0.5846 0.7226
O36 0.6108 0.7655 0.3745
O37 0.6139 0.2085 0.8857
O38 0.7009 0.5813 0.2225
O39 0.7147 0.2896 0.7316
O40 0.7191 0.9999 0.7260
O41 0.7209 0.8570 0.2204
O42 0.7414 0.4877 0.8843
O43 0.7500 0.3336 0.3825
O44 0.7523 0.0511 0.3745
O45 0.7582 0.7592 0.8801
O46 0.8497 0.1420 0.2294
O47 0.8514 0.5726 0.7349
O48 0.8892 0.9287 0.8909
O49 0.8936 0.3449 0.0293
O50 0.8940 0.7531 0.3945
O51 0.9014 0.3294 0.5272
O52 0.9008 0.4870 0.3872
O53 0.9080 0.1844 0.8863
O54 0.9753 0.5842 0.2206
O55 0.9789 0.9163 0.4880
O56 0.9820 0.0079 0.7158
O57 0.9917 0.6855 0.9881
O58 0.9926 0.6683 0.6280
# * spin magnetization: 1.0 μB/f.u.
# * polymorph energy (0 for the lowest one): 0.013 eV/atom
# * DFT formation energy: -113.11 eV per formula unit
# * uncorrected energy: -7.040 eV per atom
# * energy with MP2020 corrections: -7.609 eV per atom

=====

# CaEuZnWO6, optimized geometry, DFT GGA+U
data_CaEuZnWO6
_chemical_formula_sum 'Ca4 Eu4 Zn4 W4 O24'
_symmetry_space_group_name_H-M 'F -4 3 m'
_symmetry_Int_Tables_number 216
_symmetry_space_group_name_Hall 'F -4 2 3'
_cell_length_a 8.0241
_cell_length_b 8.0241
_cell_length_c 8.0241
_cell_angle_alpha 90.00
_cell_angle_beta 90.00
_cell_angle_gamma 90.00
loop_
_atom_site_label
_atom_site_fract_x
_atom_site_fract_y
_atom_site_fract_z
Ca1 0.0000 0.0000 0.0000
Eu1 0.0000 0.0000 0.5000
Zn1 0.2500 0.2500 0.2500
W1 0.2500 0.2500 0.7500
O1 0.0077 0.2500 0.7500
# * spin magnetization: 7.0 μB/f.u.
# * DFT formation energy: -25.90 eV per formula unit
# * uncorrected energy: -7.351 eV per atom
# * energy with MP2020 corrections: -8.207 eV per atom